1.
Computed, not measured: a relaxed structure of Li3B at the PBE level of DFT.

Unit cell a=3.9250 b=3.9250 c=5.8792 alpha=90.00 beta=90.00 gamma=90.00
Last column: nearest neighbours and their distance in Å.
Sites, in units of the cell vectors:
1 Li 0.0000 0.0000 0.0000  8 Li 2.45
2 Li 0.0000 0.5000 0.2500  4 Li 2.45, 4 B 2.45
3 Li 0.0000 0.5000 0.7500  4 Li 2.45, 4 B 2.45
4 Li 0.5000 0.0000 0.2500  4 Li 2.45, 4 B 2.45
5 Li 0.5000 0.0000 0.7500  4 Li 2.45, 4 B 2.45
6 Li 0.5000 0.5000 0.5000  8 Li 2.45
7 B 0.0000 0.0000 0.5000  8 Li 2.45
8 B 0.5000 0.5000 0.0000  8 Li 2.45

Computed properties:
- SG: I4/mmm
- Calculated formation energy: 36 kJ/mol of atoms

---

2.
Computed, not measured: a relaxed structure of Li5B4 at the PBE level of DFT.

Unit cell a=4.7969 b=4.7969 c=4.7969 alpha=83.90 beta=83.90 gamma=83.90
Last column: nearest neighbours and their distance in Å.
Sites, in units of the cell vectors:
1 Li 0.0000 0.0000 0.0000  7 B 2.40-2.63
2 Li 0.4021 0.4021 0.9686  2 Li 2.34-2.57, 5 B 2.38-2.52
3 Li 0.4021 0.9686 0.4021  2 Li 2.34-2.57, 5 B 2.38-2.52
4 Li 0.4771 0.4771 0.4771  1 B 2.16, 3 Li 2.34
5 Li 0.9686 0.4021 0.4021  2 Li 2.34-2.57, 5 B 2.38-2.52
6 B 0.5021 0.9107 0.9107  1 B 1.62
7 B 0.7128 0.7128 0.7128  3 B 1.62
8 B 0.9107 0.5021 0.9107  1 B 1.62
9 B 0.9107 0.9107 0.5021  1 B 1.62

Computed properties:
- SG: R3m
- Calculated formation energy: 49 kJ/mol of atoms
- Energy above the most stable polymorph in this dataset: 0.306 eV per atom

---

3.
Computed, not measured: a relaxed structure of Li5B4 at the PBE level of DFT.

Unit cell a=4.7791 b=4.7791 c=3.8183 alpha=94.43 beta=94.43 gamma=91.83
Last column: nearest neighbours and their distance in Å.
Sites, in units of the cell vectors:
1 Li 0.0000 0.0000 0.0000  4 B 2.17-2.40, 2 Li 2.30-2.41
2 Li 0.2862 0.7770 0.4795  4 Li 2.37-2.52, 6 B 2.37-2.62
3 Li 0.5949 0.5949 0.9522  6 B 2.20-2.45, 2 Li 2.27-2.35
4 Li 0.7770 0.2862 0.4795  4 Li 2.37-2.52, 6 B 2.37-2.62
5 Li 0.7916 0.7916 0.4780  8 Li 2.27-2.41
6 B 0.0873 0.5080 0.9640  2 B 1.72-1.73
7 B 0.2770 0.2770 0.7150  3 B 1.73-1.88
8 B 0.3161 0.3161 0.2114  3 B 1.72-1.88
9 B 0.5080 0.0873 0.9640  2 B 1.72-1.73

Computed properties:
- SG: Cm
- Calculated formation energy: 19 kJ/mol of atoms
- Energy above the most stable polymorph in this dataset: 0.000 eV per atom

---

Q: Among the records above, which one has the lowest calculated formation energy?
A: number 3

---

Repeat the second record exactly.
Computed, not measured: a relaxed structure of Li5B4 at the PBE level of DFT.

Unit cell a=4.7969 b=4.7969 c=4.7969 alpha=83.90 beta=83.90 gamma=83.90
Last column: nearest neighbours and their distance in Å.
Sites, in units of the cell vectors:
1 Li 0.0000 0.0000 0.0000  7 B 2.40-2.63
2 Li 0.4021 0.4021 0.9686  2 Li 2.34-2.57, 5 B 2.38-2.52
3 Li 0.4021 0.9686 0.4021  2 Li 2.34-2.57, 5 B 2.38-2.52
4 Li 0.4771 0.4771 0.4771  1 B 2.16, 3 Li 2.34
5 Li 0.9686 0.4021 0.4021  2 Li 2.34-2.57, 5 B 2.38-2.52
6 B 0.5021 0.9107 0.9107  1 B 1.62
7 B 0.7128 0.7128 0.7128  3 B 1.62
8 B 0.9107 0.5021 0.9107  1 B 1.62
9 B 0.9107 0.9107 0.5021  1 B 1.62

Computed properties:
- SG: R3m
- Calculated formation energy: 49 kJ/mol of atoms
- Energy above the most stable polymorph in this dataset: 0.306 eV per atom

---

Q: Which of these has the highest calculated formation energy?
A: number 2

---

Q: Look up the calculated formation energy of the first one.
A: 36 kJ/mol of atoms